Record 1
## KHfCuF7 (r2SCAN)

Data for a relaxed KHfCuF7 crystal.

a = 7.5644 Å, b = 7.5644 Å, c = 10.0022 Å
α = 90.00°, β = 90.00°, γ = 113.98°
Atoms (fractional coordinates):
K  0.1372  0.3366  0.2500
K  0.3366  0.1372  0.7500
K  0.6634  0.8628  0.2500
K  0.8628  0.6634  0.7500
Hf  0.3666  0.6334  0.5693
Hf  0.3666  0.6334  0.9307
Hf  0.6334  0.3666  0.0693
Hf  0.6334  0.3666  0.4307
Cu  0.1358  0.8642  0.0712
Cu  0.1358  0.8642  0.4288
Cu  0.8642  0.1358  0.5712
Cu  0.8642  0.1358  0.9288
F  0.0000  0.0000  0.0000
F  0.0000  0.0000  0.5000
F  0.0779  0.9221  0.2500
F  0.1409  0.3953  0.5140
F  0.1409  0.3953  0.9860
F  0.2077  0.7923  0.6115
F  0.2077  0.7923  0.8885
F  0.2254  0.4944  0.7500
F  0.2795  0.7205  0.1146
F  0.2795  0.7205  0.3854
F  0.3953  0.1409  0.0140
F  0.3953  0.1409  0.4860
F  0.4747  0.5253  0.1128
F  0.4747  0.5253  0.3872
F  0.4944  0.2254  0.2500
F  0.5056  0.7746  0.7500
F  0.5253  0.4747  0.6128
F  0.5253  0.4747  0.8872
F  0.6047  0.8591  0.5140
F  0.6047  0.8591  0.9860
F  0.7205  0.2795  0.6146
F  0.7205  0.2795  0.8854
F  0.7746  0.5056  0.2500
F  0.7923  0.2077  0.1115
F  0.7923  0.2077  0.3885
F  0.8591  0.6047  0.0140
F  0.8591  0.6047  0.4860
F  0.9221  0.0779  0.7500

Computed properties:
Size of the total moment = 1.000 μB/f.u.
ΔH_f (0 K) = -32.6 eV/f.u.
Uncorrected energy = -11.6463 eV per atom
Symmetry = Cmcm

Record 2
## GdSi2Ru2 (r2SCAN)

Data for a relaxed GdSi2Ru2 crystal.

a = 5.6387 Å, b = 5.6387 Å, c = 5.6387 Å
α = 136.53°, β = 136.53°, γ = 63.16°
Atoms (fractional coordinates):
Gd  0.0000  0.0000  0.0000
Si  0.3665  0.3665  0.0000
Si  0.6335  0.6335  0.0000
Ru  0.2500  0.7500  0.5000
Ru  0.7500  0.2500  0.5000

Computed properties:
Size of the total moment = 7.286 μB/f.u.
ΔH_f (0 K) = -4.7 eV/f.u.
Uncorrected energy = -23.3014 eV per atom
Symmetry = I4/mmm

Record 3
## Cs3Sb (r2SCAN)

Data for a relaxed Cs3Sb crystal.

a = 6.5376 Å, b = 6.5376 Å, c = 6.5376 Å
α = 60.00°, β = 60.00°, γ = 60.00°
Atoms (fractional coordinates):
Cs  0.0000  0.0000  0.0000
Cs  0.2500  0.2500  0.2500
Cs  0.7500  0.7500  0.7500
Sb  0.5000  0.5000  0.5000

Computed properties:
Size of the total moment = 0.000 μB/f.u.
ΔH_f (0 K) = -2.0 eV/f.u.
Uncorrected energy = -25.7582 eV per atom
Symmetry = Fm-3m

Record 4
## La2CdRh2 (r2SCAN)

Data for a relaxed La2CdRh2 crystal.

a = 7.7656 Å, b = 7.7656 Å, c = 3.8747 Å
α = 90.00°, β = 90.00°, γ = 90.00°
Atoms (fractional coordinates):
La  0.1661  0.3339  0.0000
La  0.3339  0.8339  0.0000
La  0.6661  0.1661  0.0000
La  0.8339  0.6661  0.0000
Cd  0.0000  0.0000  0.5000
Cd  0.5000  0.5000  0.5000
Rh  0.1399  0.6399  0.5000
Rh  0.3601  0.1399  0.5000
Rh  0.6399  0.8601  0.5000
Rh  0.8601  0.3601  0.5000

Computed properties:
Size of the total moment = 0.000 μB/f.u.
ΔH_f (0 K) = -3.4 eV/f.u.
Uncorrected energy = -26.2535 eV per atom
Symmetry = P4/mbm

Record 5
## AlTlS2 (r2SCAN)

Data for a relaxed AlTlS2 crystal.

a = 7.2951 Å, b = 7.2951 Å, c = 15.2623 Å
α = 96.88°, β = 96.88°, γ = 89.95°
Atoms (fractional coordinates):
Al  0.0880  0.7078  0.8360
Al  0.2922  0.4183  0.6628
Al  0.2922  0.9120  0.6640
Al  0.4183  0.2922  0.1628
Al  0.5817  0.7078  0.8372
Al  0.7078  0.0880  0.3360
Al  0.7078  0.5817  0.3372
Al  0.9120  0.2922  0.1640
Tl  0.1496  0.7727  0.1114
Tl  0.2184  0.3475  0.3859
Tl  0.2273  0.8504  0.3886
Tl  0.3475  0.2184  0.8859
Tl  0.6525  0.7816  0.1141
Tl  0.7727  0.1496  0.6114
Tl  0.7816  0.6525  0.6141
Tl  0.8504  0.2273  0.8886
S  0.0604  0.9396  0.7500
S  0.0605  0.4343  0.7488
S  0.1427  0.2734  0.0772
S  0.2699  0.6436  0.5732
S  0.2734  0.1427  0.5772
S  0.3564  0.7301  0.9268
S  0.4343  0.0605  0.2488
S  0.4344  0.5656  0.2500
S  0.5656  0.4344  0.7500
S  0.5657  0.9395  0.7512
S  0.6436  0.2699  0.0732
S  0.7266  0.8573  0.4228
S  0.7301  0.3564  0.4268
S  0.8573  0.7266  0.9228
S  0.9395  0.5657  0.2512
S  0.9396  0.0604  0.2500

Computed properties:
Size of the total moment = 0.000 μB/f.u.
ΔH_f (0 K) = -4.2 eV/f.u.
Uncorrected energy = -20.0420 eV per atom
Symmetry = C2/c

Record 6
## LiFeF4 (r2SCAN)

Data for a relaxed LiFeF4 crystal.

a = 6.3666 Å, b = 6.3666 Å, c = 5.3814 Å
α = 92.71°, β = 92.71°, γ = 46.78°
Atoms (fractional coordinates):
Li  0.0081  0.9919  0.7500
Li  0.9919  0.0081  0.2500
Fe  0.0000  0.5000  0.0000
Fe  0.5000  0.0000  0.5000
F  0.0385  0.7721  0.9934
F  0.2283  0.3514  0.3080
F  0.2279  0.9615  0.5066
F  0.3514  0.2283  0.8080
F  0.6486  0.7717  0.1920
F  0.7721  0.0385  0.4934
F  0.7717  0.6486  0.6920
F  0.9615  0.2279  0.0066

Computed properties:
Size of the total moment = 5.000 μB/f.u.
ΔH_f (0 K) = -16.6 eV/f.u.
Uncorrected energy = -7.6489 eV per atom
E above lowest polymorph = 24.8 meV per atom
Symmetry = C2/c